Below is an optimized crystal structure of Li2S, with properties calculated at the meta-GGA r2SCAN level.

Values from the calculation:
Energy above the most stable polymorph in this dataset, kJ/mol of atoms: 0.0
Density, kg/m³: 1674

Unit cell a=4.010 b=4.010 c=4.010 alpha=60.00 beta=60.00 gamma=60.00
Atoms (fractional coordinates):
Li 0.250 0.250 0.250
Li 0.750 0.750 0.750
S 0.000 0.000 0.000

***

Below is an optimized crystal structure of Li3SbS4, with properties calculated at the meta-GGA r2SCAN level.

Values from the calculation:
Energy above the most stable polymorph in this dataset, kJ/mol of atoms: 0.5
Density, kg/m³: 2595

Unit cell a=5.628 b=5.628 c=6.766 alpha=65.42 beta=65.42 gamma=90.00
Atoms (fractional coordinates):
S 0.365 0.365 0.749
S 0.635 0.115 0.251
S 0.115 0.635 0.251
S 0.885 0.885 0.749
Sb 0.000 0.000 0.000
Li 0.250 0.750 0.500
Li 0.750 0.250 0.500
Li 0.500 0.500 0.000

***

Below is an optimized crystal structure of Li3SbS3, with properties calculated at the meta-GGA r2SCAN level.

Values from the calculation:
Density, kg/m³: 2904

Unit cell a=6.787 b=7.962 c=10.105 alpha=90.00 beta=90.00 gamma=90.00
Atoms (fractional coordinates):
S 0.636 0.536 0.008
S 0.195 0.662 0.816
S 0.703 0.822 0.693
S 0.364 0.464 0.508
S 0.797 0.322 0.693
S 0.695 0.838 0.316
S 0.305 0.162 0.816
S 0.864 0.036 0.008
S 0.136 0.964 0.508
S 0.203 0.678 0.193
S 0.297 0.178 0.193
S 0.805 0.338 0.316
Li 0.845 0.589 0.818
Li 0.874 0.742 0.115
Li 0.155 0.411 0.318
Li 0.374 0.758 0.615
Li 0.958 0.058 0.275
Li 0.626 0.242 0.115
Li 0.126 0.258 0.615
Li 0.345 0.911 0.318
Li 0.042 0.942 0.775
Li 0.458 0.442 0.775
Li 0.655 0.089 0.818
Li 0.542 0.558 0.275
Sb 0.894 0.735 0.500
Sb 0.106 0.265 0.000
Sb 0.394 0.765 0.000
Sb 0.606 0.235 0.500

***

Below is an optimized crystal structure of LiSbS2, with properties calculated at the meta-GGA r2SCAN level.

Values from the calculation:
Density, kg/m³: 3783

Unit cell a=5.572 b=5.572 c=6.736 alpha=114.78 beta=114.46 gamma=89.58
Atoms (fractional coordinates):
Sb 0.356 0.606 0.250
Sb 0.644 0.394 0.750
Li 0.870 0.120 0.250
Li 0.130 0.880 0.750
S 0.916 0.638 0.256
S 0.084 0.362 0.744
S 0.382 0.159 0.244
S 0.618 0.841 0.756

***

Below is an optimized crystal structure of Li3SbS4, with properties calculated at the meta-GGA r2SCAN level.

Values from the calculation:
Energy above the most stable polymorph in this dataset, kJ/mol of atoms: 0.0
Density, kg/m³: 2572

Unit cell a=7.960 b=6.849 c=6.414 alpha=90.00 beta=90.00 gamma=90.00
Atoms (fractional coordinates):
Li 0.245 0.325 0.996
Li 0.255 0.675 0.496
Li 0.755 0.325 0.996
Li 0.745 0.675 0.496
Li 0.500 0.844 0.003
Li 0.000 0.156 0.503
S 0.500 0.180 0.129
S 0.759 0.665 0.116
S 0.000 0.148 0.119
S 0.241 0.665 0.116
S 0.500 0.852 0.619
S 0.000 0.820 0.629
S 0.741 0.335 0.616
S 0.259 0.335 0.616
Sb 0.500 0.174 0.495
Sb 0.000 0.826 0.995

***

Below is an optimized crystal structure of Li4SnS4, with properties calculated at the meta-GGA r2SCAN level.

Values from the calculation:
Density, kg/m³: 2573

Unit cell a=6.336 b=7.873 c=14.220 alpha=90.00 beta=90.00 gamma=90.00
Atoms (fractional coordinates):
Li 0.873 0.750 0.410
Li 0.000 0.500 0.000
Li 0.500 0.000 0.500
Li 0.127 0.250 0.590
Li 0.000 0.000 0.000
Li 0.627 0.750 0.910
Li 0.679 0.505 0.678
Li 0.179 0.005 0.822
Li 0.179 0.495 0.822
Li 0.321 0.005 0.322
Li 0.500 0.500 0.500
Li 0.373 0.250 0.090
Li 0.321 0.495 0.322
Li 0.821 0.505 0.178
Li 0.821 0.995 0.178
Li 0.679 0.995 0.678
S 0.287 0.001 0.660
S 0.213 0.001 0.160
S 0.287 0.499 0.660
S 0.265 0.250 0.918
S 0.765 0.750 0.582
S 0.735 0.750 0.082
S 0.264 0.750 0.430
S 0.736 0.250 0.570
S 0.235 0.250 0.418
S 0.213 0.499 0.160
S 0.236 0.750 0.930
S 0.713 0.999 0.340
S 0.787 0.999 0.840
S 0.787 0.501 0.840
S 0.713 0.501 0.340
S 0.764 0.250 0.070
Sn 0.857 0.250 0.409
Sn 0.143 0.750 0.591
Sn 0.357 0.750 0.091
Sn 0.643 0.250 0.909

***

Below is an optimized crystal structure of Li8TiS6, with properties calculated at the meta-GGA r2SCAN level.

Values from the calculation:
Density, kg/m³: 1812

Unit cell a=6.852 b=6.852 c=13.335 alpha=90.00 beta=90.00 gamma=120.00
Atoms (fractional coordinates):
Ti 0.000 0.000 0.998
Ti 0.000 0.000 0.498
Li 0.380 0.000 0.630
Li 0.000 0.682 0.766
Li 0.380 0.380 0.130
Li 0.682 0.000 0.766
Li 0.333 0.667 0.902
Li 0.620 0.000 0.130
Li 0.333 0.667 0.402
Li 0.318 0.000 0.266
Li 0.000 0.318 0.266
Li 0.682 0.682 0.266
Li 0.667 0.333 0.402
Li 0.667 0.333 0.902
Li 0.000 0.620 0.130
Li 0.000 0.380 0.630
Li 0.620 0.620 0.630
Li 0.318 0.318 0.766
S 0.000 0.000 0.171
S 0.333 0.667 0.216
S 0.315 0.315 0.950
S 0.000 0.685 0.950
S 0.685 0.000 0.950
S 0.000 0.000 0.671
S 0.667 0.333 0.216
S 0.315 0.000 0.450
S 0.000 0.315 0.450
S 0.685 0.685 0.450
S 0.667 0.333 0.716
S 0.333 0.667 0.716

***

Below is an optimized crystal structure of LiTi3S6, with properties calculated at the meta-GGA r2SCAN level.

Values from the calculation:
Density, kg/m³: 2606

Unit cell a=3.439 b=3.439 c=21.336 alpha=90.00 beta=90.00 gamma=120.00
Atoms (fractional coordinates):
S 0.667 0.333 0.576
S 0.667 0.333 0.935
S 0.333 0.667 0.066
S 0.333 0.667 0.424
S 0.333 0.667 0.710
S 0.667 0.333 0.289
Ti 0.000 0.000 0.353
Ti 0.000 0.000 0.000
Ti 0.000 0.000 0.647
Li 0.000 0.000 0.500

***

Below is an optimized crystal structure of LiZrS2, with properties calculated at the meta-GGA r2SCAN level.

Values from the calculation:
Density, kg/m³: 3701

Unit cell a=6.854 b=6.854 c=6.854 alpha=30.34 beta=30.34 gamma=30.34
Atoms (fractional coordinates):
Zr 0.998 0.998 0.998
Li 0.167 0.167 0.167
S 0.411 0.411 0.411
S 0.584 0.584 0.584

***

Below is an optimized crystal structure of Li3Sb, with properties calculated at the meta-GGA r2SCAN level.

Values from the calculation:
Energy above the most stable polymorph in this dataset, kJ/mol of atoms: 0.8
Density, kg/m³: 3378

Unit cell a=4.628 b=4.628 c=4.628 alpha=60.00 beta=60.00 gamma=60.00
Atoms (fractional coordinates):
Li 0.250 0.250 0.250
Li 0.750 0.750 0.750
Li 0.500 0.500 0.500
Sb 0.000 0.000 0.000

***

Below is an optimized crystal structure of Li3Sb, with properties calculated at the meta-GGA r2SCAN level.

Values from the calculation:
Energy above the most stable polymorph in this dataset, kJ/mol of atoms: 0.0
Density, kg/m³: 3017

Unit cell a=4.672 b=4.672 c=8.303 alpha=90.00 beta=90.00 gamma=120.00
Atoms (fractional coordinates):
Li 0.667 0.333 0.087
Li 0.667 0.333 0.413
Li 0.000 0.000 0.250
Li 0.333 0.667 0.587
Li 0.000 0.000 0.750
Li 0.333 0.667 0.913
Sb 0.333 0.667 0.250
Sb 0.667 0.333 0.750

***

Below is an optimized crystal structure of Li3SmSb2, with properties calculated at the meta-GGA r2SCAN level.

Values from the calculation:
Density, kg/m³: 5233

Unit cell a=4.571 b=4.571 c=7.272 alpha=90.00 beta=90.00 gamma=120.00
Atoms (fractional coordinates):
Sm 0.000 0.000 0.000
Li 0.000 0.000 0.500
Li 0.667 0.333 0.352
Li 0.333 0.667 0.648
Sb 0.333 0.667 0.253
Sb 0.667 0.333 0.747

***

Below is an optimized crystal structure of Sr3Li4Sb4, with properties calculated at the meta-GGA r2SCAN level.

Values from the calculation:
Density, kg/m³: 4481

Unit cell a=4.835 b=7.508 c=9.112 alpha=114.38 beta=105.39 gamma=90.02
Atoms (fractional coordinates):
Sr 0.500 0.000 0.000
Sr 0.369 0.369 0.739
Sr 0.631 0.631 0.261
Sb 0.713 0.213 0.427
Sb 0.001 0.310 0.001
Sb 0.287 0.787 0.573
Sb 0.999 0.690 0.999
Li 0.826 0.019 0.650
Li 0.174 0.981 0.350
Li 0.824 0.631 0.648
Li 0.176 0.369 0.352

***

Below is an optimized crystal structure of Li2TlSb, with properties calculated at the meta-GGA r2SCAN level.

Values from the calculation:
Density, kg/m³: 6484

Unit cell a=4.975 b=4.975 c=4.975 alpha=60.00 beta=60.00 gamma=60.00
Atoms (fractional coordinates):
Li 0.750 0.750 0.750
Li 0.250 0.250 0.250
Sb 0.500 0.500 0.500
Tl 0.000 0.000 0.000

***

Below is an optimized crystal structure of Li3YSb2, with properties calculated at the meta-GGA r2SCAN level.

Values from the calculation:
Density, kg/m³: 4589

Unit cell a=4.531 b=4.531 c=7.187 alpha=90.00 beta=90.00 gamma=120.00
Atoms (fractional coordinates):
Sb 0.667 0.333 0.751
Sb 0.333 0.667 0.249
Li 0.333 0.667 0.651
Li 0.000 0.000 0.500
Li 0.667 0.333 0.349
Y 0.000 0.000 0.000

***

Below is an optimized crystal structure of LiSc2Tc, with properties calculated at the meta-GGA r2SCAN level.

Values from the calculation:
Density, kg/m³: 4545

Unit cell a=4.652 b=4.652 c=4.652 alpha=60.00 beta=60.00 gamma=60.00
Atoms (fractional coordinates):
Li 0.250 0.250 0.250
Sc 0.000 0.000 0.000
Sc 0.500 0.500 0.500
Tc 0.750 0.750 0.750

***

Below is an optimized crystal structure of LiTbSe2, with properties calculated at the meta-GGA r2SCAN level.

Values from the calculation:
Density, kg/m³: 5742

Unit cell a=7.050 b=7.050 c=7.050 alpha=132.43 beta=132.43 gamma=69.54
Atoms (fractional coordinates):
Tb 0.750 0.250 0.500
Tb 0.000 0.000 0.000
Li 0.250 0.750 0.500
Li 0.500 0.500 0.000
Se 0.997 0.497 0.500
Se 0.753 0.753 0.000
Se 0.503 0.003 0.500
Se 0.247 0.247 0.000

***

Below is an optimized crystal structure of LiTbSe2, with properties calculated at the meta-GGA r2SCAN level.

Values from the calculation:
Density, kg/m³: 5790

Unit cell a=6.882 b=6.882 c=6.882 alpha=34.41 beta=34.41 gamma=34.41
Atoms (fractional coordinates):
Se 0.751 0.751 0.751
Se 0.249 0.249 0.249
Li 0.500 0.500 0.500
Tb 0.000 0.000 0.000

***

Below is an optimized crystal structure of LiTi3Se6, with properties calculated at the meta-GGA r2SCAN level.

Values from the calculation:
Density, kg/m³: 4162

Unit cell a=3.598 b=3.598 c=22.219 alpha=90.00 beta=90.00 gamma=120.00
Atoms (fractional coordinates):
Se 0.333 0.667 0.713
Se 0.333 0.667 0.068
Se 0.667 0.333 0.287
Se 0.667 0.333 0.576
Se 0.667 0.333 0.932
Se 0.333 0.667 0.424
Ti 0.000 0.000 0.647
Ti 0.000 0.000 0.353
Ti 0.000 0.000 0.000
Li 0.000 0.000 0.500

***

Below is an optimized crystal structure of LiZrSe2, with properties calculated at the meta-GGA r2SCAN level.

Values from the calculation:
Density, kg/m³: 5277

Unit cell a=3.743 b=3.743 c=6.641 alpha=90.00 beta=90.01 gamma=120.00
Atoms (fractional coordinates):
Li 0.000 0.000 0.500
Se 0.333 0.667 0.252
Se 0.667 0.333 0.748
Zr 0.000 0.000 0.000

***

Below is an optimized crystal structure of LiYSi, with properties calculated at the meta-GGA r2SCAN level.

Values from the calculation:
Density, kg/m³: 3416

Unit cell a=7.035 b=7.035 c=4.217 alpha=90.00 beta=90.00 gamma=120.00
Atoms (fractional coordinates):
Y 0.575 0.000 0.000
Y 0.425 0.425 0.000
Y 0.000 0.575 0.000
Si 0.667 0.333 0.500
Si 0.333 0.667 0.500
Si 0.000 0.000 0.000
Li 0.000 0.233 0.500
Li 0.233 0.000 0.500
Li 0.767 0.767 0.500

***

Number 1: ΔH_f (0 K) -1.5258 eV per atom. Number 2: ΔH_f (0 K) -0.9898 eV per atom. Number 3: ΔH_f (0 K) -1.1042 eV per atom. Number 4: ΔH_f (0 K) -0.7664 eV per atom. Number 5: ΔH_f (0 K) -0.9947 eV per atom. Number 6: ΔH_f (0 K) -1.2135 eV per atom. Number 7: ΔH_f (0 K) -1.5137 eV per atom. Number 8: ΔH_f (0 K) -1.5273 eV per atom. Number 9: ΔH_f (0 K) -1.7118 eV per atom. Number 10: ΔH_f (0 K) -0.7441 eV per atom. Number 11: ΔH_f (0 K) -0.7521 eV per atom. Number 12: ΔH_f (0 K) -0.9947 eV per atom. Number 13: ΔH_f (0 K) -1.0272 eV per atom. Number 14: ΔH_f (0 K) -0.4817 eV per atom. Number 15: ΔH_f (0 K) -0.9808 eV per atom. Number 16: ΔH_f (0 K) -0.0789 eV per atom. Number 17: ΔH_f (0 K) -1.9522 eV per atom. Number 18: ΔH_f (0 K) -1.9655 eV per atom. Number 19: ΔH_f (0 K) -1.3328 eV per atom. Number 20: ΔH_f (0 K) -1.5666 eV per atom. Number 21: ΔH_f (0 K) -0.6754 eV per atom.